(1)
Below is a geometry-optimized Re6H12Pb3C2S2N4O26 structure, with properties calculated at the GGA-PBE level.

extended XYZ file:
```
110
Lattice="16.509 0.000 0.000 0.000 16.509 0.000 0.000 0.000 5.902" Properties=species:S:1:pos:R:3 pbc="T T T"
Re 0.462 2.977 2.766
Re 1.797 6.457 0.026
Re 2.977 16.047 3.136
Re 5.278 7.793 2.766
Re 6.457 14.712 5.876
Re 7.793 11.231 3.136
Re 8.717 5.278 3.136
Re 10.052 1.797 5.876
Re 11.231 8.717 2.766
Re 13.533 0.462 3.136
Re 14.712 10.052 0.026
Re 16.047 13.533 2.766
H 1.799 12.923 0.061
H 3.017 12.386 3.028
H 3.103 3.486 5.849
H 3.486 13.406 0.053
H 3.586 1.799 5.840
H 4.123 3.017 2.873
H 4.131 11.271 3.028
H 4.669 10.053 0.061
H 4.769 5.151 5.849
H 5.151 11.741 0.053
H 5.238 4.131 2.873
H 6.456 4.669 5.840
H 10.053 11.841 5.840
H 11.271 12.378 2.873
H 11.358 4.769 0.053
H 11.741 11.358 5.849
H 11.841 6.456 0.061
H 12.378 5.238 3.028
H 12.386 13.493 2.873
H 12.923 14.711 5.840
H 13.023 3.103 0.053
H 13.406 13.023 5.849
H 13.493 4.123 3.028
H 14.711 3.586 0.061
Pb 0.000 0.000 0.000
Pb 1.384 9.639 3.033
Pb 6.870 1.384 2.868
Pb 8.255 8.255 0.000
Pb 9.639 15.125 2.868
Pb 15.125 6.870 3.033
C 3.116 11.370 0.079
C 5.139 3.116 5.823
C 11.370 13.394 5.823
C 13.394 5.139 0.079
S 1.889 10.144 0.072
S 6.365 1.889 5.829
S 10.144 14.620 5.829
S 14.620 6.365 0.072
N 2.779 12.660 0.078
N 3.850 2.779 5.824
N 4.405 11.034 0.078
N 5.475 4.405 5.824
N 11.034 12.104 5.824
N 12.104 5.475 0.078
N 12.660 13.730 5.824
N 13.730 3.850 0.078
O 0.073 14.642 4.019
O 0.080 14.161 1.211
O 0.280 11.969 3.041
O 1.079 7.176 4.482
O 1.103 7.152 1.488
O 1.538 4.726 0.020
O 1.867 0.073 1.883
O 2.203 3.125 2.829
O 2.348 0.080 4.691
O 3.125 14.306 3.073
O 3.161 11.415 3.004
O 3.529 6.716 0.020
O 3.714 8.535 3.041
O 4.540 0.280 2.861
O 4.726 14.971 5.881
O 5.094 3.161 2.898
O 5.130 6.052 2.829
O 5.906 8.334 1.211
O 6.052 11.380 3.073
O 6.387 8.328 4.019
O 6.716 12.980 5.881
O 7.152 15.406 4.413
O 7.176 15.431 1.419
O 7.975 3.714 2.861
O 8.175 5.906 4.691
O 8.181 6.387 1.883
O 8.328 10.122 1.883
O 8.334 10.603 4.691
O 8.535 12.795 2.861
O 9.333 1.079 1.419
O 9.358 1.103 4.413
O 9.793 3.529 5.881
O 10.122 8.181 4.019
O 10.458 5.130 3.073
O 10.603 8.175 1.211
O 11.380 10.458 2.829
O 11.415 13.349 2.898
O 11.784 1.538 5.881
O 11.969 16.229 2.861
O 12.795 7.975 3.041
O 12.980 9.793 0.020
O 13.349 5.094 3.004
O 13.384 2.203 3.073
O 14.161 16.430 4.691
O 14.306 13.384 2.829
O 14.642 16.436 1.883
O 14.971 11.784 0.020
O 15.406 9.358 1.488
O 15.431 9.333 4.482
O 16.229 4.540 3.041
O 16.430 2.348 1.211
O 16.436 1.867 4.019
```

- Total magnetic moment: 0.05 μB per formula unit
- ρ: 4.8 g cm⁻³
- E_tot: -6.8854 eV/atom
- SG: P-42_1m

---

(2)
Below is a geometry-optimized H12PbC4S4N2O8 structure, with properties calculated at the GGA-PBE level.

extended XYZ file:
```
124
Lattice="7.876 0.000 0.000 0.000 9.164 0.000 -6.588 0.000 20.425" Properties=species:S:1:pos:R:3 pbc="T T T"
H -1.262 0.369 4.779
H -4.556 4.213 14.992
H -0.313 6.837 2.080
H -3.607 6.908 12.292
H -0.843 4.621 4.127
H -4.137 9.125 14.340
H -5.645 0.799 19.064
H -2.351 3.783 8.851
H -4.242 1.079 15.747
H -0.948 3.502 5.534
H -4.494 1.979 18.324
H -1.201 2.603 8.112
H 0.727 1.079 2.845
H -2.567 3.503 13.058
H -1.818 0.454 12.896
H 1.476 4.128 2.683
H 1.295 5.453 3.912
H -1.999 8.293 14.125
H -1.559 4.859 13.695
H 1.735 8.886 3.482
H -1.240 0.696 14.589
H 2.054 3.886 4.376
H 2.312 1.424 3.643
H -0.982 3.158 13.856
H 2.271 6.005 6.570
H -1.023 7.740 16.782
H -0.766 5.277 16.050
H 2.528 8.468 5.837
H -0.447 0.277 16.943
H 2.847 4.305 6.731
H 3.287 0.871 6.301
H -0.007 3.711 16.514
H -0.188 5.036 17.742
H 3.106 8.709 7.530
H 3.855 5.661 7.367
H 0.561 8.085 17.580
H 2.489 6.561 12.314
H 5.783 7.185 2.101
H 2.237 5.661 14.891
H 5.531 8.084 4.678
H 3.640 5.380 11.575
H 6.934 8.365 1.362
H 5.425 0.039 6.086
H 2.132 4.543 16.299
H 4.895 2.256 8.133
H 1.601 2.326 18.346
H 5.844 4.950 5.433
H 2.550 8.795 15.646
Pb -3.927 6.568 19.698
Pb -0.633 7.178 9.485
Pb 1.921 1.986 10.940
Pb 5.215 2.596 0.727
C -4.803 0.410 15.082
C -1.509 4.172 4.869
C -5.435 1.856 18.871
C -2.141 2.726 8.659
C 1.747 0.719 3.023
C -1.547 3.863 13.236
C 1.909 4.611 3.566
C -1.385 9.135 13.779
C 2.673 0.029 6.647
C -0.621 4.553 16.859
C 2.835 5.301 7.190
C -0.459 8.445 17.402
C 3.430 6.438 11.767
C 6.724 7.308 1.554
C 2.798 4.991 15.556
C 6.092 8.754 5.343
S -1.972 1.913 10.229
S 1.322 2.669 0.016
S -3.891 5.992 16.410
S -0.597 7.754 6.197
S 2.575 0.558 1.462
S -0.719 4.024 11.675
S 1.090 0.709 7.094
S -2.204 3.873 17.307
S 3.492 5.291 3.118
S 0.198 8.455 13.331
S 2.007 5.140 8.751
S -1.287 8.606 18.964
S 1.885 1.410 14.228
S 5.179 3.172 4.015
S -0.034 6.495 20.410
S 3.260 7.251 10.197
N -3.204 5.117 17.587
N 0.090 8.628 7.374
N 2.603 2.014 0.754
N -0.691 2.567 10.967
N 1.979 6.596 9.458
N -1.315 7.149 19.671
N 1.198 0.535 13.051
N 4.492 4.046 2.839
O -3.198 2.144 10.995
O 0.096 2.438 0.782
O -1.351 6.743 6.961
O -4.645 7.002 17.173
O -1.618 0.523 9.982
O -4.912 4.059 20.194
O -2.944 6.491 15.420
O 0.350 7.254 5.208
O -1.465 5.028 10.910
O 1.829 8.717 0.697
O 0.636 1.539 5.989
O -2.658 3.043 16.202
O 0.595 4.863 8.494
O -2.699 8.882 18.707
O 3.326 5.957 1.828
O 0.032 7.789 12.041
O 1.257 1.375 8.385
O -2.037 3.207 18.598
O 3.988 0.281 1.719
O 0.694 4.300 11.932
O 3.947 6.121 4.223
O 0.653 7.625 14.436
O -0.540 0.447 19.728
O 2.754 4.135 9.515
O 0.938 1.909 15.218
O 4.232 2.673 5.005
O 6.200 5.104 0.231
O 2.906 8.641 10.444
O 5.933 2.161 3.252
O 2.639 2.421 13.465
O 1.193 6.726 19.643
O 4.487 7.019 9.431
```

- Total magnetic moment: 0.01 μB per formula unit
- ρ: 2.5 g cm⁻³
- E_tot: -5.4961 eV/atom
- SG: P2_1/c

---

(3)
Below is a geometry-optimized H18PbC6S4N2O9 structure, with properties calculated at the GGA-PBE level.

extended XYZ file:
```
80
Lattice="9.300 0.000 0.000 4.511 9.250 0.000 3.130 -1.087 10.488" Properties=species:S:1:pos:R:3 pbc="T T T"
H 11.283 1.422 3.703
H 5.658 6.741 6.785
H 3.429 6.268 0.279
H 4.543 6.445 3.047
H 4.055 4.696 3.092
H 6.625 8.869 3.672
H 5.750 2.659 9.658
H 7.080 7.735 6.328
H 5.335 5.322 4.221
H 5.238 1.061 8.987
H 4.890 2.155 3.902
H 7.195 3.595 8.303
H 4.482 0.525 4.505
H 6.746 3.405 6.564
H 5.535 1.582 5.471
H 8.170 4.398 7.030
H 10.050 8.323 6.198
H 9.635 6.698 6.782
H 6.864 -0.712 8.112
H 10.077 8.875 2.376
H 7.306 1.465 3.706
H 6.891 -0.160 4.290
H 8.771 3.765 3.458
H 11.406 6.581 5.017
H 10.195 4.758 3.924
H 12.459 7.638 5.983
H 9.747 4.568 2.185
H 12.051 6.008 6.586
H 11.703 7.102 1.501
H 11.606 2.841 6.267
H 9.861 0.428 4.160
H 11.192 5.504 0.830
H 10.316 -0.706 6.816
H 12.886 3.467 7.396
H 12.398 1.718 7.441
H 13.512 1.896 10.209
Pb 10.061 6.375 10.185
Pb 6.880 1.788 0.303
C 6.188 7.682 6.963
C 5.236 1.714 9.866
C 4.871 5.415 3.232
C 5.275 1.283 4.445
C 7.570 3.518 7.279
C 10.437 7.444 6.737
C 6.504 0.719 3.751
C 9.371 4.645 3.209
C 11.666 6.880 6.043
C 12.070 2.748 7.256
C 11.705 6.449 0.622
C 10.753 0.481 3.525
S 0.922 0.462 1.831
S 3.008 1.987 0.668
S 6.104 5.022 2.007
S 8.351 6.099 3.357
S 8.590 2.064 7.131
S 10.838 3.141 8.481
S 13.933 6.176 9.820
S 16.019 7.702 8.657
N 2.254 0.571 0.920
N 7.304 6.083 2.113
N 9.637 2.080 8.375
N 14.687 7.592 9.568
O 4.912 8.376 1.541
O 3.004 2.841 1.844
O 7.654 6.585 8.833
O 5.513 5.262 0.686
O 7.675 6.018 4.646
O 4.309 1.624 0.099
O 6.519 3.636 2.265
O 10.702 7.822 8.110
O 9.200 7.264 3.140
O 7.741 0.899 7.348
O 6.239 0.341 2.378
O 10.422 4.527 8.223
O 12.632 6.539 10.389
O 9.266 2.145 5.842
O 11.428 2.901 9.802
O 9.287 1.578 1.655
O 13.937 5.322 8.644
O 12.029 -0.213 8.946
```

- Total magnetic moment: 0.00 μB per formula unit
- ρ: 2.2 g cm⁻³
- E_tot: -5.4415 eV/atom
- SG: P-1

---

(4)
Below is a geometry-optimized HPbCSNO structure, with properties calculated at the GGA-PBE level.

extended XYZ file:
```
24
Lattice="8.747 0.000 0.000 0.000 4.292 0.000 0.000 0.000 11.280" Properties=species:S:1:pos:R:3 pbc="T T T"
H 1.676 1.073 0.680
H 2.697 3.219 6.320
H 6.050 1.073 4.960
H 7.071 3.219 10.600
Pb 1.201 3.219 10.105
Pb 3.173 1.073 4.465
Pb 5.574 3.219 6.815
Pb 7.547 1.073 1.175
C 0.468 1.073 7.049
C 3.906 3.219 1.409
C 4.842 1.073 9.871
C 8.280 3.219 4.231
S 0.689 3.219 3.077
S 3.685 1.073 8.717
S 5.063 3.219 2.563
S 8.058 1.073 8.203
N 1.341 1.073 6.247
N 3.032 3.219 0.607
N 5.715 1.073 10.674
N 7.406 3.219 5.034
O 0.937 1.073 0.045
O 3.437 3.219 5.685
O 5.311 1.073 5.595
O 7.810 3.219 11.236
```

- Total magnetic moment: 0.00 μB per formula unit
- ρ: 4.4 g cm⁻³
- E_tot: -6.0395 eV/atom
- SG: Pnma

---

(5)
Below is a geometry-optimized H19PbC15S2N3O5 structure, with properties calculated at the GGA-PBE level.

extended XYZ file:
```
90
Lattice="7.359 0.000 0.000 -1.368 11.985 0.000 -2.177 -1.597 12.420" Properties=species:S:1:pos:R:3 pbc="T T T"
H -0.949 2.835 3.599
H -1.475 6.508 6.796
H -1.933 6.365 9.978
H -2.515 10.373 10.953
H 0.469 2.349 0.737
H -0.933 5.173 7.865
H -1.376 2.236 12.210
H -1.534 8.095 10.155
H 0.465 5.824 1.303
H 0.074 5.876 3.980
H 1.654 0.385 0.158
H 0.268 6.118 6.938
H 1.488 7.140 0.660
H 0.580 -1.208 11.182
H 2.134 2.977 0.633
H 1.190 6.975 4.851
H 2.234 5.790 1.578
H 1.830 5.576 3.939
H 0.525 8.510 9.640
H 3.289 1.878 2.779
H 1.984 4.812 8.481
H 1.580 4.598 10.842
H 2.624 3.414 7.569
H 1.679 7.412 11.787
H 3.234 11.596 1.238
H 2.326 3.248 11.759
H 3.546 4.270 5.482
H 2.160 10.003 12.261
H 3.740 4.512 8.439
H 3.348 4.565 11.117
H 5.348 2.293 2.264
H 5.190 8.152 0.210
H 4.747 5.215 4.555
H 3.345 8.039 11.683
H 6.329 0.015 1.466
H 5.747 4.023 2.442
H 5.289 3.880 5.624
H 4.762 7.553 8.821
Pb 0.793 0.340 5.505
Pb 3.021 10.048 6.915
C -1.717 7.295 9.430
C -0.855 2.412 9.631
C -0.434 0.541 8.785
C -0.487 1.898 8.250
C -0.702 0.998 10.113
C -0.681 6.172 7.480
C 1.191 2.852 0.081
C -0.443 -0.981 11.510
C 0.486 10.509 2.698
C 0.887 9.493 1.641
C 1.355 6.444 1.495
C 0.623 9.474 3.720
C 0.941 8.477 2.743
C 1.062 6.359 3.955
C 0.591 7.804 8.790
C 3.223 2.585 3.630
C 2.752 4.029 8.465
C 2.873 1.912 9.677
C 3.191 0.915 8.700
C 2.459 3.945 10.925
C 2.927 0.895 10.779
C 3.328 -0.121 9.722
C 4.257 11.370 0.909
C 2.623 7.537 12.338
C 4.495 4.216 4.940
C 4.516 9.390 2.307
C 4.301 8.490 4.169
C 4.248 9.847 3.635
C 4.669 7.977 2.788
C 5.531 3.094 2.990
S -0.125 -0.918 7.970
S 0.379 9.571 5.398
S 3.435 0.817 7.022
S 3.939 11.306 4.449
N -0.760 0.438 11.309
N -0.550 7.119 8.578
N 1.182 7.177 2.748
N 2.632 3.212 9.671
N 4.364 3.269 3.842
N 4.574 9.950 1.111
O -1.173 3.483 10.148
O -0.263 2.372 7.120
O 1.512 -0.282 2.735
O 1.106 9.483 0.432
O 2.175 2.704 4.303
O 1.639 7.684 8.117
O 2.708 0.905 11.988
O 2.302 10.671 9.685
O 4.077 8.017 5.300
O 4.987 6.905 2.272
```

- Total magnetic moment: 0.13 μB per formula unit
- ρ: 1.8 g cm⁻³
- E_tot: -6.1103 eV/atom
- SG: P-1